Record 1
# Nb3AlP6O24, relaxed, DFT PBE
data_Nb3AlP6O24
_chemical_formula_sum 'Nb3 Al1 P6 O24'
_cell_length_a 8.957
_cell_length_b 8.957
_cell_length_c 8.957
_cell_angle_alpha 58.17
_cell_angle_beta 58.17
_cell_angle_gamma 58.17
_symmetry_space_group_name_H-M 'P 1'
_symmetry_Int_Tables_number 1
loop_
_symmetry_equiv_pos_as_xyz
'x,y,z'
loop_
_atom_site_label
_atom_site_type_symbol
_atom_site_fract_x
_atom_site_fract_y
_atom_site_fract_z
O1 O 0.496 0.862 0.724
Nb1 Nb 0.359 0.359 0.359
O2 O 0.644 0.001 0.777
O3 O 0.996 0.224 0.362
O4 O 0.001 0.777 0.644
O5 O 0.420 0.562 0.793
P1 P 0.028 0.751 0.478
O6 O 0.714 0.937 0.069
P2 P 0.237 0.543 0.966
O7 O 0.793 0.420 0.562
Al1 Al 0.858 0.858 0.858
O8 O 0.505 0.137 0.274
O9 O 0.294 0.061 0.921
O10 O 0.224 0.362 0.996
O11 O 0.724 0.496 0.862
O12 O 0.274 0.505 0.137
P3 P 0.478 0.028 0.751
O13 O 0.061 0.921 0.294
O14 O 0.069 0.714 0.937
O15 O 0.562 0.793 0.420
O16 O 0.921 0.294 0.061
O17 O 0.578 0.440 0.207
O18 O 0.440 0.207 0.578
P4 P 0.966 0.237 0.543
O19 O 0.862 0.724 0.496
O20 O 0.777 0.644 0.001
Nb2 Nb 0.640 0.640 0.640
O21 O 0.937 0.069 0.714
O22 O 0.362 0.996 0.224
O23 O 0.137 0.274 0.505
P5 P 0.751 0.478 0.028
P6 P 0.543 0.966 0.237
Nb3 Nb 0.141 0.141 0.141
O24 O 0.207 0.578 0.440
# Relative energy among the computed polymorphs, eV per atom: 0.000

---

Record 2
# Nb3AlP6O24, relaxed, DFT PBE
data_Nb3AlP6O24
_chemical_formula_sum 'Nb9 Al3 P18 O72'
_cell_length_a 8.699
_cell_length_b 8.699
_cell_length_c 22.417
_cell_angle_alpha 90.00
_cell_angle_beta 90.00
_cell_angle_gamma 120.00
_symmetry_space_group_name_H-M 'P 1'
_symmetry_Int_Tables_number 1
loop_
_symmetry_equiv_pos_as_xyz
'x,y,z'
loop_
_atom_site_label
_atom_site_type_symbol
_atom_site_fract_x
_atom_site_fract_y
_atom_site_fract_z
O1 O 0.502 0.636 0.575
P1 P 0.723 0.708 0.253
P2 P 0.662 0.607 0.586
O2 O 0.203 0.030 0.594
P3 P 0.717 0.014 0.747
O3 O 0.134 0.636 0.361
O4 O 0.829 0.523 0.739
Nb1 Nb 0.333 0.667 0.028
O5 O 0.505 0.365 0.140
Nb2 Nb 0.667 0.333 0.978
P4 P 0.985 0.277 0.253
P5 P 0.616 0.667 0.917
O6 O 0.131 0.635 0.075
Al1 Al 0.667 0.333 0.193
O7 O 0.158 0.691 0.759
O8 O 0.364 0.866 0.575
P6 P 0.943 0.612 0.087
P7 P 0.629 0.949 0.414
P8 P 0.051 0.680 0.414
Al2 Al 0.667 0.333 0.688
Nb3 Nb 0.000 0.000 0.640
O9 O 0.694 0.171 0.739
O10 O 0.837 0.801 0.306
O11 O 0.162 0.190 0.405
O12 O 0.802 0.830 0.195
O13 O 0.170 0.971 0.195
O14 O 0.203 0.169 0.804
O15 O 0.502 0.866 0.361
O16 O 0.365 0.497 0.075
O17 O 0.165 0.467 0.972
P9 P 0.986 0.703 0.747
O18 O 0.299 0.464 0.471
O19 O 0.477 0.306 0.739
O20 O 0.639 0.504 0.925
O21 O 0.503 0.869 0.075
O22 O 0.503 0.138 0.641
O23 O 0.860 0.495 0.140
Nb4 Nb 0.333 0.667 0.522
O24 O 0.496 0.135 0.925
O25 O 0.836 0.530 0.028
O26 O 0.029 0.198 0.195
P10 P 0.393 0.055 0.586
O27 O 0.635 0.497 0.641
O28 O 0.865 0.361 0.925
O29 O 0.810 0.973 0.405
O30 O 0.169 0.971 0.907
O31 O 0.363 0.865 0.861
O32 O 0.502 0.637 0.861
O33 O 0.470 0.305 0.028
O34 O 0.491 0.358 0.427
Nb5 Nb 0.333 0.667 0.805
O35 O 0.302 0.835 0.972
O36 O 0.199 0.171 0.092
O37 O 0.971 0.801 0.092
P11 P 0.333 0.949 0.917
P12 P 0.945 0.338 0.586
O38 O 0.029 0.198 0.907
O39 O 0.800 0.970 0.694
O40 O 0.642 0.133 0.427
Nb6 Nb 0.000 0.000 0.854
P13 P 0.297 0.283 0.747
O41 O 0.134 0.498 0.575
P14 P 0.292 0.015 0.253
P15 P 0.320 0.371 0.414
O42 O 0.535 0.693 0.260
O43 O 0.802 0.831 0.907
Al3 Al 0.000 0.000 0.354
O44 O 0.536 0.835 0.471
O45 O 0.030 0.831 0.694
O46 O 0.169 0.200 0.694
O47 O 0.533 0.698 0.972
O48 O 0.474 0.170 0.239
O49 O 0.830 0.303 0.239
O50 O 0.199 0.036 0.306
O51 O 0.867 0.509 0.427
O52 O 0.970 0.172 0.594
O53 O 0.964 0.163 0.306
O54 O 0.829 0.029 0.092
O55 O 0.828 0.797 0.594
O56 O 0.309 0.467 0.759
O57 O 0.165 0.701 0.471
Nb7 Nb 0.000 0.000 0.147
Nb8 Nb 0.333 0.667 0.306
O58 O 0.158 0.465 0.260
Nb9 Nb 0.667 0.333 0.473
O59 O 0.635 0.140 0.140
O60 O 0.364 0.498 0.361
O61 O 0.469 0.166 0.529
P16 P 0.670 0.057 0.087
O62 O 0.834 0.303 0.529
O63 O 0.135 0.498 0.861
O64 O 0.307 0.842 0.260
P17 P 0.388 0.330 0.087
O65 O 0.697 0.526 0.239
O66 O 0.697 0.531 0.529
O67 O 0.862 0.365 0.641
O68 O 0.027 0.838 0.405
O69 O 0.533 0.842 0.759
O70 O 0.695 0.164 0.028
O71 O 0.831 0.034 0.804
O72 O 0.966 0.797 0.804
P18 P 0.051 0.384 0.917
# Relative energy among the computed polymorphs, eV per atom: 0.008

---

Record 3
# Rb4Nb35Al2O70, relaxed, DFT PBE
data_Rb4Nb35Al2O70
_chemical_formula_sum 'Rb4 Nb35 Al2 O70'
_cell_length_a 7.942
_cell_length_b 7.942
_cell_length_c 26.966
_cell_angle_alpha 90.00
_cell_angle_beta 90.00
_cell_angle_gamma 120.00
_symmetry_space_group_name_H-M 'P 1'
_symmetry_Int_Tables_number 1
loop_
_symmetry_equiv_pos_as_xyz
'x,y,z'
loop_
_atom_site_label
_atom_site_type_symbol
_atom_site_fract_x
_atom_site_fract_y
_atom_site_fract_z
O1 O 0.495 0.388 0.937
O2 O 0.893 0.505 0.937
Nb1 Nb 0.000 0.000 0.000
Nb2 Nb 0.397 0.129 0.908
O3 O 0.570 0.863 0.328
O4 O 0.174 0.936 0.144
O5 O 0.205 0.995 0.955
Nb3 Nb 0.333 0.667 0.537
O6 O 0.697 0.567 0.318
O7 O 0.736 0.573 0.500
O8 O 0.826 0.064 0.856
O9 O 0.202 0.965 0.410
Nb4 Nb 0.358 0.888 0.730
O10 O 0.092 0.511 0.227
O11 O 0.567 0.869 0.682
Nb5 Nb 0.807 0.025 0.456
O12 O 0.837 0.264 0.500
O13 O 0.505 0.600 0.585
Nb6 Nb 0.871 0.268 0.908
O14 O 0.908 0.489 0.773
O15 O 0.905 0.505 0.415
Rb1 Rb 0.000 0.000 0.678
O16 O 0.095 0.495 0.585
O17 O 0.064 0.239 0.144
O18 O 0.388 0.893 0.063
O19 O 0.293 0.430 0.328
Nb7 Nb 0.930 0.531 0.633
Rb2 Rb 0.333 0.667 0.964
Nb8 Nb 0.268 0.397 0.092
O20 O 0.798 0.035 0.590
O21 O 0.764 0.798 0.410
Nb9 Nb 0.025 0.218 0.544
O22 O 0.612 0.107 0.937
O23 O 0.210 0.205 0.045
Nb10 Nb 0.603 0.871 0.092
O24 O 0.489 0.582 0.227
O25 O 0.790 0.795 0.955
Al1 Al 0.333 0.667 0.207
Rb3 Rb 0.000 0.000 0.322
O26 O 0.600 0.095 0.415
O27 O 0.264 0.427 0.500
Nb11 Nb 0.601 0.070 0.633
Rb4 Rb 0.667 0.333 0.036
O28 O 0.924 0.763 0.229
Al2 Al 0.667 0.333 0.793
O29 O 0.303 0.433 0.682
O30 O 0.237 0.161 0.229
O31 O 0.461 0.362 0.138
O32 O 0.495 0.400 0.415
O33 O 0.161 0.924 0.771
Nb12 Nb 0.129 0.732 0.092
O34 O 0.667 0.333 0.859
O35 O 0.763 0.839 0.771
Nb13 Nb 0.070 0.469 0.367
Nb14 Nb 0.399 0.930 0.367
O36 O 0.707 0.570 0.672
O37 O 0.505 0.612 0.063
O38 O 0.005 0.210 0.955
Nb15 Nb 0.311 0.451 0.816
O39 O 0.362 0.900 0.862
Nb16 Nb 0.888 0.531 0.270
O40 O 0.427 0.163 0.500
O41 O 0.965 0.764 0.590
Nb17 Nb 0.451 0.141 0.184
O42 O 0.573 0.837 0.500
Nb18 Nb 0.975 0.782 0.456
Nb19 Nb 0.667 0.333 0.463
O43 O 0.035 0.236 0.410
Nb20 Nb 0.000 0.000 0.186
Nb21 Nb 0.469 0.399 0.633
Nb22 Nb 0.732 0.603 0.908
O44 O 0.107 0.495 0.063
O45 O 0.539 0.638 0.862
Nb23 Nb 0.469 0.358 0.270
Nb24 Nb 0.000 0.000 0.814
O46 O 0.137 0.707 0.328
O47 O 0.100 0.461 0.862
O48 O 0.076 0.237 0.771
Nb25 Nb 0.193 0.975 0.544
Nb26 Nb 0.689 0.549 0.184
Nb27 Nb 0.218 0.193 0.456
O49 O 0.761 0.826 0.144
O50 O 0.131 0.697 0.682
O51 O 0.900 0.539 0.138
O52 O 0.795 0.005 0.045
O53 O 0.582 0.092 0.773
O54 O 0.400 0.905 0.585
Nb28 Nb 0.782 0.807 0.544
O55 O 0.511 0.418 0.773
O56 O 0.239 0.174 0.856
O57 O 0.430 0.137 0.672
O58 O 0.638 0.100 0.138
O59 O 0.333 0.667 0.402
O60 O 0.433 0.131 0.318
Nb29 Nb 0.549 0.859 0.816
O61 O 0.667 0.333 0.598
O62 O 0.236 0.202 0.590
O63 O 0.936 0.761 0.856
O64 O 0.995 0.790 0.045
O65 O 0.839 0.076 0.229
O66 O 0.863 0.293 0.672
O67 O 0.869 0.303 0.318
Nb30 Nb 0.112 0.469 0.730
Nb31 Nb 0.531 0.601 0.367
O68 O 0.418 0.908 0.227
Nb32 Nb 0.141 0.689 0.816
O69 O 0.333 0.667 0.141
O70 O 0.163 0.736 0.500
Nb33 Nb 0.642 0.112 0.270
Nb34 Nb 0.859 0.311 0.184
Nb35 Nb 0.531 0.642 0.730
# Energy, eV/atom: -8.86

---

Record 4
# Nb3AlSi3S3O24, relaxed, DFT PBE
data_Nb3AlSi3S3O24
_chemical_formula_sum 'Nb9 Al3 Si9 S9 O72'
_cell_length_a 8.797
_cell_length_b 8.813
_cell_length_c 22.698
_cell_angle_alpha 89.60
_cell_angle_beta 89.39
_cell_angle_gamma 119.83
_symmetry_space_group_name_H-M 'P 1'
_symmetry_Int_Tables_number 1
loop_
_symmetry_equiv_pos_as_xyz
'x,y,z'
loop_
_atom_site_label
_atom_site_type_symbol
_atom_site_fract_x
_atom_site_fract_y
_atom_site_fract_z
O1 O 0.628 0.137 0.146
O2 O 0.507 0.636 0.576
O3 O 0.827 0.529 0.028
O4 O 0.195 0.163 0.806
Nb1 Nb 0.998 0.995 0.140
O5 O 0.156 0.704 0.468
O6 O 0.851 0.496 0.146
O7 O 0.209 0.175 0.096
Nb2 Nb 0.679 0.340 0.974
O8 O 0.166 0.975 0.909
Si1 Si 0.943 0.601 0.087
Si2 Si 0.666 0.061 0.088
O9 O 0.030 0.208 0.198
Nb3 Nb 0.341 0.670 0.806
O10 O 0.130 0.491 0.863
O11 O 0.135 0.505 0.573
O12 O 0.458 0.299 0.033
O13 O 0.693 0.539 0.530
O14 O 0.177 0.977 0.198
Nb4 Nb 0.344 0.670 0.311
O15 O 0.840 0.033 0.098
O16 O 0.365 0.859 0.859
O17 O 0.462 0.165 0.242
O18 O 0.171 0.696 0.760
O19 O 0.836 0.301 0.243
Nb5 Nb 0.016 0.017 0.646
S1 S 0.390 0.337 0.087
O20 O 0.967 0.170 0.303
O21 O 0.463 0.158 0.529
S2 S 0.054 0.381 0.916
O22 O 0.980 0.807 0.098
O23 O 0.642 0.138 0.425
O24 O 0.821 0.794 0.591
Nb6 Nb 0.344 0.689 0.026
O25 O 0.496 0.636 0.858
Nb7 Nb 0.009 0.987 0.856
O26 O 0.825 0.518 0.741
Si3 Si 0.340 0.955 0.916
O27 O 0.632 0.506 0.637
S3 S 0.717 0.010 0.749
O28 O 0.522 0.827 0.473
O29 O 0.690 0.531 0.241
Si4 Si 0.305 0.288 0.749
S4 S 0.722 0.708 0.251
O30 O 0.517 0.686 0.975
O31 O 0.304 0.848 0.259
O32 O 0.828 0.312 0.527
O33 O 0.488 0.123 0.635
O34 O 0.482 0.295 0.731
O35 O 0.542 0.698 0.257
Al1 Al 0.005 0.014 0.358
O36 O 0.503 0.860 0.078
O37 O 0.166 0.183 0.400
S5 S 0.050 0.678 0.415
O38 O 0.154 0.456 0.970
O39 O 0.812 0.962 0.399
Si5 Si 0.939 0.334 0.588
O40 O 0.838 0.354 0.642
Nb8 Nb 0.335 0.651 0.524
Si6 Si 0.630 0.946 0.415
S6 S 0.992 0.282 0.251
O41 O 0.799 0.976 0.696
O42 O 0.360 0.870 0.573
O43 O 0.360 0.506 0.359
O44 O 0.821 0.036 0.801
O45 O 0.966 0.163 0.594
O46 O 0.968 0.804 0.806
Si7 Si 0.992 0.703 0.748
S7 S 0.671 0.616 0.585
O47 O 0.302 0.833 0.976
Al2 Al 0.684 0.346 0.696
O48 O 0.315 0.477 0.760
O49 O 0.506 0.367 0.430
O50 O 0.026 0.838 0.692
O51 O 0.690 0.158 0.739
Nb9 Nb 0.670 0.323 0.473
O52 O 0.135 0.623 0.075
S8 S 0.386 0.047 0.584
O53 O 0.296 0.468 0.473
O54 O 0.128 0.637 0.362
O55 O 0.700 0.174 0.028
O56 O 0.799 0.824 0.197
Si8 Si 0.615 0.670 0.916
O57 O 0.207 0.030 0.589
O58 O 0.803 0.846 0.905
Si9 Si 0.326 0.368 0.415
O59 O 0.197 0.028 0.304
O60 O 0.542 0.847 0.754
O61 O 0.026 0.204 0.908
O62 O 0.507 0.145 0.929
O63 O 0.876 0.367 0.922
O64 O 0.642 0.501 0.928
O65 O 0.493 0.361 0.140
S9 S 0.288 0.010 0.251
O66 O 0.829 0.792 0.302
Al3 Al 0.675 0.325 0.185
O67 O 0.359 0.485 0.079
O68 O 0.150 0.461 0.260
O69 O 0.168 0.199 0.692
O70 O 0.494 0.858 0.358
O71 O 0.873 0.518 0.424
O72 O 0.030 0.829 0.403
# Energy, eV/atom: -7.51

---

Record 5
# Sr4NbAlO8, relaxed, DFT PBE
data_Sr4NbAlO8
_chemical_formula_sum 'Sr16 Nb4 Al4 O32'
_cell_length_a 5.897
_cell_length_b 7.257
_cell_length_c 19.935
_cell_angle_alpha 82.48
_cell_angle_beta 90.00
_cell_angle_gamma 90.00
_symmetry_space_group_name_H-M 'P 1'
_symmetry_Int_Tables_number 1
loop_
_symmetry_equiv_pos_as_xyz
'x,y,z'
loop_
_atom_site_label
_atom_site_type_symbol
_atom_site_fract_x
_atom_site_fract_y
_atom_site_fract_z
O1 O 0.415 0.248 0.443
O2 O 0.585 0.752 0.557
Sr1 Sr 0.249 0.499 0.365
O3 O 0.839 0.061 0.421
O4 O 0.802 0.336 0.522
O5 O 0.990 0.203 0.678
Sr2 Sr 0.220 0.288 0.546
O6 O 0.915 0.752 0.057
Nb1 Nb 0.242 0.339 0.711
Nb2 Nb 0.742 0.661 0.789
Sr3 Sr 0.785 0.140 0.291
O7 O 0.198 0.664 0.478
O8 O 0.012 0.502 0.756
Sr4 Sr 0.780 0.712 0.454
Sr5 Sr 0.215 0.860 0.709
Sr6 Sr 0.751 0.025 0.597
O9 O 0.490 0.797 0.822
O10 O 0.698 0.336 0.022
Sr7 Sr 0.715 0.140 0.791
Al1 Al 0.215 0.733 0.057
O11 O 0.469 0.212 0.661
O12 O 0.220 0.177 0.295
Sr8 Sr 0.249 0.975 0.403
O13 O 0.720 0.823 0.205
O14 O 0.291 0.549 0.125
Sr9 Sr 0.251 0.499 0.865
O15 O 0.531 0.788 0.339
O16 O 0.709 0.451 0.875
O17 O 0.969 0.788 0.839
O18 O 0.791 0.451 0.375
Sr10 Sr 0.280 0.288 0.046
O19 O 0.780 0.823 0.705
O20 O 0.031 0.212 0.161
O21 O 0.488 0.502 0.256
O22 O 0.280 0.177 0.795
Nb3 Nb 0.258 0.339 0.211
Sr11 Sr 0.720 0.712 0.954
O23 O 0.085 0.248 0.943
O24 O 0.988 0.498 0.244
O25 O 0.512 0.498 0.744
O26 O 0.302 0.664 0.978
Sr12 Sr 0.749 0.025 0.097
Nb4 Nb 0.758 0.661 0.289
O27 O 0.161 0.939 0.579
Sr13 Sr 0.751 0.501 0.635
Sr14 Sr 0.251 0.975 0.903
O28 O 0.510 0.203 0.178
O29 O 0.010 0.797 0.322
Sr15 Sr 0.285 0.860 0.209
Sr16 Sr 0.749 0.501 0.135
O30 O 0.339 0.939 0.079
O31 O 0.661 0.061 0.921
Al2 Al 0.715 0.267 0.443
Al3 Al 0.285 0.733 0.557
Al4 Al 0.785 0.267 0.943
O32 O 0.209 0.549 0.625
# Energy, eV/atom: -7.20

---

Record 6
# Nb6AlSi, relaxed, DFT PBE
data_Nb6AlSi
_chemical_formula_sum 'Nb6 Al1 Si1'
_cell_length_a 5.173
_cell_length_b 5.173
_cell_length_c 5.173
_cell_angle_alpha 90.00
_cell_angle_beta 90.00
_cell_angle_gamma 90.00
_symmetry_space_group_name_H-M 'P 1'
_symmetry_Int_Tables_number 1
loop_
_symmetry_equiv_pos_as_xyz
'x,y,z'
loop_
_atom_site_label
_atom_site_type_symbol
_atom_site_fract_x
_atom_site_fract_y
_atom_site_fract_z
Nb1 Nb 0.000 0.500 0.246
Nb2 Nb 0.000 0.500 0.754
Nb3 Nb 0.500 0.246 0.000
Nb4 Nb 0.246 0.000 0.500
Al1 Al 0.500 0.500 0.500
Nb5 Nb 0.500 0.754 0.000
Si1 Si 0.000 0.000 0.000
Nb6 Nb 0.754 0.000 0.500
# Energy, eV/atom: -8.98